(1)
Below is Nd4Fe3B6 after structural relaxation, with properties calculated at the PBE-GGA level.

Computed properties:
- total magnetic moment (Bohr magnetons per cell) = 2.15
- DFT total energy (eV/atom) = -6.798

a b c (Å): 8.140 8.140 8.140
angles (deg): 38.62 38.62 38.62
Sites, in units of the cell vectors:
Nd (0.089, 0.089, 0.089)
Nd (0.243, 0.243, 0.243)
Nd (0.757, 0.757, 0.757)
Nd (0.911, 0.911, 0.911)
Fe (0.384, 0.384, 0.384)
Fe (0.500, 0.500, 0.500)
Fe (0.616, 0.616, 0.616)
B (0.000, 0.334, 0.666)
B (0.000, 0.666, 0.334)
B (0.334, 0.000, 0.666)
B (0.334, 0.666, 0.000)
B (0.666, 0.000, 0.334)
B (0.666, 0.334, 0.000)

---

(2)
Below is TmZnRh2 after structural relaxation, with properties calculated at the PBE-GGA level.

Computed properties:
- DFT total energy (eV/atom) = -5.834

a b c (Å): 4.537 4.537 4.537
angles (deg): 60.00 60.00 60.00
Sites, in units of the cell vectors:
Tm (0.000, 0.000, 0.000)
Zn (0.500, 0.500, 0.500)
Rh (0.250, 0.250, 0.250)
Rh (0.750, 0.750, 0.750)

---

(3)
Below is Co2IrN10Cl10 after structural relaxation, with properties calculated at the PBE-GGA level.

Computed properties:
- total magnetic moment (Bohr magnetons per cell) = 2.83
- DFT total energy (eV/atom) = -4.642

a b c (Å): 7.423 7.423 11.434
angles (deg): 105.58 105.58 66.39
Sites, in units of the cell vectors:
Co (0.123, 0.123, 0.348)
Co (0.877, 0.877, 0.652)
Ir (0.500, 0.500, 0.000)
N (0.003, 0.290, 0.472)
N (0.005, 0.005, 0.744)
N (0.168, 0.306, 0.225)
N (0.290, 0.003, 0.472)
N (0.306, 0.168, 0.225)
N (0.694, 0.832, 0.775)
N (0.710, 0.997, 0.528)
N (0.832, 0.694, 0.775)
N (0.995, 0.995, 0.256)
N (0.997, 0.710, 0.528)
Cl (0.162, 0.162, 0.589)
Cl (0.213, 0.787, 0.000)
Cl (0.309, 0.309, 0.974)
Cl (0.420, 0.420, 0.499)
Cl (0.457, 0.457, 0.787)
Cl (0.543, 0.543, 0.213)
Cl (0.580, 0.580, 0.501)
Cl (0.691, 0.691, 0.026)
Cl (0.787, 0.213, 0.000)
Cl (0.838, 0.838, 0.411)

---

(4)
Below is TiCuSn after structural relaxation, with properties calculated at the PBE-GGA level.

Computed properties:
- DFT total energy (eV/atom) = -5.557

a b c (Å): 4.418 4.418 6.038
angles (deg): 90.00 90.00 120.00
Sites, in units of the cell vectors:
Ti (0.000, 0.000, 0.000)
Ti (0.000, 0.000, 0.500)
Cu (0.333, 0.667, 0.277)
Cu (0.667, 0.333, 0.777)
Sn (0.333, 0.667, 0.745)
Sn (0.667, 0.333, 0.245)

---

(5)
Below is TbInAu2 after structural relaxation, with properties calculated at the PBE-GGA level.

Computed properties:
- DFT total energy (eV/atom) = -4.190

a b c (Å): 4.962 4.962 4.962
angles (deg): 60.00 60.00 60.00
Sites, in units of the cell vectors:
Tb (0.000, 0.000, 0.000)
In (0.500, 0.500, 0.500)
Au (0.250, 0.250, 0.250)
Au (0.750, 0.750, 0.750)

---

(6)
Below is Dy4In20Ni11 after structural relaxation, with properties calculated at the PBE-GGA level.

Computed properties:
- total magnetic moment (Bohr magnetons per cell) = 0.00
- DFT total energy (eV/atom) = -4.172

a b c (Å): 11.331 11.331 16.442
angles (deg): 123.64 123.64 21.77
Sites, in units of the cell vectors:
Dy (0.119, 0.119, 0.331)
Dy (0.229, 0.229, 0.826)
Dy (0.771, 0.771, 0.174)
Dy (0.881, 0.881, 0.669)
In (0.010, 0.010, 0.095)
In (0.063, 0.063, 0.790)
In (0.116, 0.116, 0.552)
In (0.202, 0.202, 0.002)
In (0.247, 0.247, 0.291)
In (0.297, 0.297, 0.498)
In (0.372, 0.372, 0.804)
In (0.388, 0.388, 0.309)
In (0.399, 0.399, 0.009)
In (0.459, 0.459, 0.623)
In (0.541, 0.541, 0.377)
In (0.601, 0.601, 0.991)
In (0.612, 0.612, 0.691)
In (0.628, 0.628, 0.196)
In (0.703, 0.703, 0.502)
In (0.753, 0.753, 0.709)
In (0.798, 0.798, 0.998)
In (0.884, 0.884, 0.448)
In (0.937, 0.937, 0.210)
In (0.990, 0.990, 0.905)
Ni (0.023, 0.023, 0.600)
Ni (0.137, 0.137, 0.103)
Ni (0.254, 0.254, 0.618)
Ni (0.347, 0.347, 0.121)
Ni (0.493, 0.493, 0.805)
Ni (0.500, 0.500, 0.500)
Ni (0.507, 0.507, 0.195)
Ni (0.653, 0.653, 0.879)
Ni (0.746, 0.746, 0.382)
Ni (0.863, 0.863, 0.897)
Ni (0.977, 0.977, 0.400)

---

(7)
Below is CaSc2O4 after structural relaxation, with properties calculated at the PBE-GGA level.

Computed properties:
- DFT total energy (eV/atom) = -8.314

a b c (Å): 9.536 3.163 11.187
angles (deg): 90.00 90.00 90.00
Sites, in units of the cell vectors:
Ca (0.244, 0.250, 0.152)
Ca (0.256, 0.750, 0.652)
Ca (0.744, 0.250, 0.348)
Ca (0.756, 0.750, 0.848)
Sc (0.070, 0.250, 0.388)
Sc (0.080, 0.250, 0.893)
Sc (0.420, 0.750, 0.393)
Sc (0.430, 0.750, 0.888)
Sc (0.570, 0.250, 0.112)
Sc (0.580, 0.250, 0.607)
Sc (0.920, 0.750, 0.107)
Sc (0.930, 0.750, 0.612)
O (0.023, 0.750, 0.784)
O (0.080, 0.250, 0.575)
O (0.123, 0.750, 0.024)
O (0.207, 0.750, 0.328)
O (0.293, 0.250, 0.828)
O (0.377, 0.250, 0.524)
O (0.420, 0.750, 0.075)
O (0.477, 0.250, 0.284)
O (0.523, 0.750, 0.716)
O (0.580, 0.250, 0.925)
O (0.623, 0.750, 0.476)
O (0.707, 0.750, 0.172)
O (0.793, 0.250, 0.672)
O (0.877, 0.250, 0.976)
O (0.920, 0.750, 0.425)
O (0.977, 0.250, 0.216)

---

(8)
Below is SiO2 after structural relaxation, with properties calculated at the PBE-GGA level.

Computed properties:
- DFT total energy (eV/atom) = -7.909

a b c (Å): 14.025 5.103 17.655
angles (deg): 90.00 105.78 90.00
Sites, in units of the cell vectors:
Si (0.009, 0.092, 0.303)
Si (0.009, 0.408, 0.803)
Si (0.193, 0.718, 0.165)
Si (0.193, 0.782, 0.665)
Si (0.231, 0.184, 0.410)
Si (0.231, 0.316, 0.910)
Si (0.267, 0.206, 0.095)
Si (0.267, 0.294, 0.595)
Si (0.311, 0.699, 0.345)
Si (0.311, 0.801, 0.845)
Si (0.489, 0.137, 0.195)
Si (0.489, 0.363, 0.695)
Si (0.511, 0.637, 0.305)
Si (0.511, 0.863, 0.805)
Si (0.689, 0.199, 0.155)
Si (0.689, 0.301, 0.655)
Si (0.733, 0.706, 0.405)
Si (0.733, 0.794, 0.905)
Si (0.769, 0.684, 0.090)
Si (0.769, 0.816, 0.590)
Si (0.807, 0.218, 0.335)
Si (0.807, 0.282, 0.835)
Si (0.991, 0.592, 0.197)
Si (0.991, 0.908, 0.697)
O (0.005, 0.710, 0.772)
O (0.005, 0.790, 0.272)
O (0.078, 0.635, 0.154)
O (0.078, 0.865, 0.654)
O (0.114, 0.144, 0.367)
O (0.114, 0.356, 0.867)
O (0.194, 0.518, 0.614)
O (0.194, 0.982, 0.114)
O (0.242, 0.236, 0.001)
O (0.242, 0.264, 0.501)
O (0.248, 0.717, 0.757)
O (0.248, 0.783, 0.257)
O (0.251, 0.017, 0.635)
O (0.251, 0.483, 0.135)
O (0.276, 0.090, 0.866)
O (0.276, 0.410, 0.366)
O (0.291, 0.588, 0.908)
O (0.291, 0.912, 0.408)
O (0.382, 0.115, 0.130)
O (0.382, 0.385, 0.630)
O (0.428, 0.699, 0.352)
O (0.428, 0.801, 0.852)
O (0.484, 0.138, 0.759)
O (0.484, 0.362, 0.259)
O (0.516, 0.638, 0.741)
O (0.516, 0.862, 0.241)
O (0.572, 0.199, 0.148)
O (0.572, 0.301, 0.648)
O (0.618, 0.615, 0.370)
O (0.618, 0.885, 0.870)
O (0.709, 0.088, 0.592)
O (0.709, 0.412, 0.092)
O (0.724, 0.590, 0.634)
O (0.724, 0.910, 0.134)
O (0.749, 0.517, 0.865)
O (0.749, 0.983, 0.365)
O (0.752, 0.217, 0.743)
O (0.752, 0.283, 0.243)
O (0.758, 0.736, 0.499)
O (0.758, 0.764, 0.999)
O (0.806, 0.018, 0.886)
O (0.806, 0.482, 0.386)
O (0.886, 0.644, 0.133)
O (0.886, 0.856, 0.633)
O (0.922, 0.135, 0.346)
O (0.922, 0.365, 0.846)
O (0.995, 0.210, 0.728)
O (0.995, 0.290, 0.228)

---

(9)
Below is K2GeF6 after structural relaxation, with properties calculated at the PBE-GGA level.

Computed properties:
- DFT total energy (eV/atom) = -4.761

a b c (Å): 5.752 5.752 4.778
angles (deg): 90.00 90.00 120.00
Sites, in units of the cell vectors:
K (0.333, 0.667, 0.202)
K (0.667, 0.333, 0.798)
Ge (0.000, 0.000, 0.500)
F (0.153, 0.305, 0.716)
F (0.153, 0.847, 0.716)
F (0.305, 0.153, 0.284)
F (0.695, 0.847, 0.716)
F (0.847, 0.153, 0.284)
F (0.847, 0.695, 0.284)

---

(10)
Below is Sr4MgIn2Sb2O12 after structural relaxation, with properties calculated at the PBE-GGA level.

Computed properties:
- total magnetic moment (Bohr magnetons per cell) = 0.00
- DFT total energy (eV/atom) = -5.953

a b c (Å): 5.832 5.974 9.739
angles (deg): 80.38 88.12 89.10
Sites, in units of the cell vectors:
Sr (0.000, 0.000, 0.000)
Sr (0.018, 0.134, 0.607)
Sr (0.465, 0.590, 0.603)
Sr (0.519, 0.505, 0.995)
Mg (0.931, 0.741, 0.410)
In (0.445, 0.993, 0.248)
In (0.993, 0.557, 0.805)
Sb (0.496, 0.049, 0.806)
Sb (0.989, 0.375, 0.228)
O (0.023, 0.554, 0.582)
O (0.114, 0.014, 0.372)
O (0.226, 0.844, 0.782)
O (0.248, 0.251, 0.132)
O (0.269, 0.305, 0.831)
O (0.474, 0.914, 0.014)
O (0.506, 0.169, 0.605)
O (0.610, 0.728, 0.365)
O (0.710, 0.792, 0.772)
O (0.739, 0.198, 0.176)
O (0.759, 0.257, 0.835)
O (0.950, 0.584, 0.038)

---

(11)
Below is LiCu6OF11 after structural relaxation, with properties calculated at the PBE-GGA level.

Computed properties:
- total magnetic moment (Bohr magnetons per cell) = 1.98
- DFT total energy (eV/atom) = -4.260

a b c (Å): 4.762 5.396 8.772
angles (deg): 85.12 88.93 88.26
Sites, in units of the cell vectors:
Li (0.000, 0.000, 0.000)
Cu (0.475, 0.852, 0.200)
Cu (0.487, 0.482, 0.522)
Cu (0.534, 0.110, 0.794)
Cu (0.968, 0.999, 0.523)
Cu (0.971, 0.606, 0.837)
Cu (0.988, 0.364, 0.204)
O (0.684, 0.197, 0.600)
F (0.169, 0.923, 0.800)
F (0.170, 0.667, 0.121)
F (0.174, 0.281, 0.437)
F (0.267, 0.785, 0.447)
F (0.280, 0.150, 0.112)
F (0.282, 0.430, 0.753)
F (0.672, 0.552, 0.284)
F (0.687, 0.817, 0.940)
F (0.772, 0.708, 0.604)
F (0.787, 0.051, 0.247)
F (0.802, 0.305, 0.928)

---

(12)
Below is TaCo2N3 after structural relaxation, with properties calculated at the PBE-GGA level.

Computed properties:
- total magnetic moment (Bohr magnetons per cell) = 2.63
- DFT total energy (eV/atom) = -8.685

a b c (Å): 6.193 6.193 8.024
angles (deg): 90.64 90.64 126.52
Sites, in units of the cell vectors:
Ta (0.159, 0.226, 0.132)
Ta (0.226, 0.159, 0.632)
Ta (0.774, 0.841, 0.368)
Ta (0.841, 0.774, 0.868)
Co (0.141, 0.531, 0.857)
Co (0.153, 0.567, 0.390)
Co (0.433, 0.847, 0.110)
Co (0.469, 0.859, 0.643)
Co (0.531, 0.141, 0.357)
Co (0.567, 0.153, 0.890)
Co (0.847, 0.433, 0.610)
Co (0.859, 0.469, 0.143)
N (0.098, 0.203, 0.889)
N (0.168, 0.832, 0.750)
N (0.182, 0.481, 0.605)
N (0.203, 0.098, 0.389)
N (0.408, 0.592, 0.250)
N (0.481, 0.182, 0.105)
N (0.519, 0.818, 0.895)
N (0.592, 0.408, 0.750)
N (0.797, 0.902, 0.611)
N (0.818, 0.519, 0.395)
N (0.832, 0.168, 0.250)
N (0.902, 0.797, 0.111)

---

(13)
Below is Mg6CoW after structural relaxation, with properties calculated at the PBE-GGA level.

Computed properties:
- total magnetic moment (Bohr magnetons per cell) = 0.00
- DFT total energy (eV/atom) = -3.342

a b c (Å): 4.779 5.707 10.673
angles (deg): 90.00 90.00 90.00
Sites, in units of the cell vectors:
Mg (0.500, 0.251, 0.425)
Mg (0.500, 0.749, 0.425)
Mg (0.000, 0.748, 0.085)
Mg (0.000, 0.252, 0.085)
Mg (0.000, 0.000, 0.313)
Mg (0.000, 0.500, 0.320)
Mg (0.500, 0.751, 0.925)
Mg (0.500, 0.249, 0.925)
Mg (0.000, 0.248, 0.585)
Mg (0.000, 0.752, 0.585)
Mg (0.000, 0.500, 0.813)
Mg (0.000, 0.000, 0.820)
Co (0.500, 0.000, 0.171)
Co (0.500, 0.500, 0.671)
W (0.500, 0.500, 0.177)
W (0.500, 0.000, 0.677)

---

(14)
Below is Ba4ErRu3O12 after structural relaxation, with properties calculated at the PBE-GGA level.

Computed properties:
- total magnetic moment (Bohr magnetons per cell) = 5.00
- DFT total energy (eV/atom) = -7.089

a b c (Å): 10.376 10.376 10.376
angles (deg): 33.20 33.20 33.20
Sites, in units of the cell vectors:
Ba (0.129, 0.129, 0.129)
Ba (0.286, 0.286, 0.286)
Ba (0.714, 0.714, 0.714)
Ba (0.871, 0.871, 0.871)
Er (0.000, 0.000, 0.000)
Ru (0.413, 0.413, 0.413)
Ru (0.500, 0.500, 0.500)
Ru (0.587, 0.587, 0.587)
O (0.147, 0.613, 0.613)
O (0.217, 0.217, 0.694)
O (0.217, 0.694, 0.217)
O (0.306, 0.783, 0.783)
O (0.387, 0.387, 0.853)
O (0.387, 0.853, 0.387)
O (0.613, 0.147, 0.613)
O (0.613, 0.613, 0.147)
O (0.694, 0.217, 0.217)
O (0.783, 0.306, 0.783)
O (0.783, 0.783, 0.306)
O (0.853, 0.387, 0.387)

---

(15)
Below is NdRh after structural relaxation, with properties calculated at the PBE-GGA level.

Computed properties:
- DFT total energy (eV/atom) = -6.744

a b c (Å): 5.846 5.846 4.255
angles (deg): 90.00 90.00 140.14
Sites, in units of the cell vectors:
Nd (0.142, 0.858, 0.750)
Nd (0.858, 0.142, 0.250)
Rh (0.415, 0.585, 0.750)
Rh (0.585, 0.415, 0.250)